1.
BaCaCeNiO6 | Materials Project | GGA+U | optimized geometry; magnetization = 0.0 μB/cell; uncorrected energy = -6.448 eV/atom; E (MP2020) = -71.15 eV for the cell shown; energy of formation = -2.58 eV/atom
1.0
4.475 2.948 2.157
2.766 3.863 -3.285
-0.527 5.643 1.114
O Ba Ca Ni Ce
6 1 1 1 1
direct
0.732 0.732 0.268
0.268 0.732 0.268
0.732 0.268 0.268
0.732 0.268 0.732
0.268 0.268 0.732
0.268 0.732 0.732
0.750 0.750 0.750
0.250 0.250 0.250
0.500 0.500 0.500
0.000 0.000 0.000

=====

2.
MgW2O7 | Materials Project | GGA+U | optimized geometry; magnetization = 0.0 μB/cell; uncorrected energy = -7.015 eV/atom; E (MP2020) = -167.67 eV for the cell shown; energy of formation = -2.17 eV/atom
1.0
6.623 0.000 0.000
0.000 6.377 0.000
0.000 2.453 8.066
W O Mg
4 14 2
direct
0.656 0.105 0.213
0.156 0.895 0.787
0.681 0.348 0.781
0.181 0.652 0.219
0.265 0.702 0.991
0.519 0.588 0.732
0.765 0.298 0.009
0.771 0.035 0.421
0.869 0.408 0.630
0.369 0.592 0.370
0.408 0.202 0.241
0.019 0.412 0.268
0.271 0.965 0.579
0.112 0.136 0.839
0.908 0.798 0.759
0.612 0.864 0.161
0.055 0.900 0.235
0.555 0.100 0.765
0.638 0.890 0.639
0.138 0.110 0.361

=====

3.
Mn2O2F9 | Materials Project | GGA+U | optimized geometry; uncorrected energy = -4.870 eV/atom; E (MP2020) = -284.50 eV for the cell shown; energy of formation = -1.97 eV/atom
1.0
4.366 8.866 0.000
-4.366 8.866 0.000
0.000 1.659 9.171
F Mn O
36 8 8
direct
0.822 0.773 0.396
0.123 0.013 0.548
0.987 0.877 0.952
0.417 0.731 0.615
0.583 0.269 0.385
0.499 0.649 0.349
0.792 0.058 0.732
0.854 0.480 0.584
0.713 0.969 0.128
0.721 0.211 0.978
0.969 0.713 0.628
0.269 0.583 0.885
0.501 0.351 0.651
0.731 0.417 0.115
0.649 0.499 0.849
0.937 0.420 0.910
0.942 0.208 0.768
0.287 0.031 0.872
0.351 0.501 0.151
0.773 0.822 0.896
0.520 0.146 0.916
0.227 0.178 0.104
0.013 0.123 0.048
0.580 0.063 0.590
0.480 0.854 0.084
0.877 0.987 0.452
0.208 0.942 0.268
0.063 0.580 0.090
0.211 0.721 0.478
0.058 0.792 0.232
0.789 0.279 0.522
0.031 0.287 0.372
0.420 0.937 0.410
0.146 0.520 0.416
0.279 0.789 0.022
0.178 0.227 0.604
0.990 0.259 0.562
0.010 0.741 0.438
0.678 0.169 0.556
0.169 0.678 0.056
0.741 0.010 0.938
0.322 0.831 0.444
0.831 0.322 0.944
0.259 0.990 0.062
0.432 0.187 0.319
0.646 0.732 0.783
0.813 0.568 0.181
0.568 0.813 0.681
0.187 0.432 0.819
0.732 0.646 0.283
0.354 0.268 0.217
0.268 0.354 0.717

=====

4.
Fe5O7F3 | Materials Project | GGA+U | optimized geometry; excess energy over the best structure of this formula in the dataset = 25 meV/atom; magnetization = 46.0 μB/cell; uncorrected energy = -6.078 eV/atom; E (MP2020) = -217.28 eV for the cell shown; energy of formation = -1.73 eV/atom
1.0
4.675 0.000 0.000
0.130 4.675 0.000
0.032 0.007 15.223
F Fe O
6 10 14
direct
0.207 0.196 0.700
0.706 0.294 0.604
0.794 0.789 0.099
0.197 0.202 0.900
0.197 0.211 0.302
0.298 0.710 0.396
0.015 0.967 0.595
0.996 0.996 0.000
0.967 0.016 0.405
0.470 0.470 0.099
0.494 0.494 0.500
0.514 0.531 0.707
0.518 0.520 0.901
0.535 0.518 0.293
0.980 0.988 0.800
0.002 0.995 0.200
0.321 0.677 0.600
0.680 0.324 0.400
0.796 0.796 0.500
0.700 0.314 0.803
0.693 0.295 0.196
0.302 0.687 0.000
0.816 0.823 0.299
0.812 0.818 0.904
0.175 0.171 0.099
0.302 0.690 0.198
0.821 0.810 0.698
0.686 0.302 0.999
0.194 0.194 0.500
0.309 0.705 0.805

=====

5.
MgMn2O4 | Materials Project | GGA+U | optimized geometry; excess energy over the best structure of this formula in the dataset = 41 meV/atom; magnetization = 16.0 μB/cell; uncorrected energy = -7.105 eV/atom; E (MP2020) = -111.64 eV for the cell shown; energy of formation = -2.30 eV/atom
1.0
5.233 -3.039 0.000
5.233 3.039 0.000
3.468 0.000 4.958
Mg O Mn
2 8 4
direct
0.375 0.375 0.375
0.993 0.993 0.993
0.619 0.619 0.171
0.620 0.620 0.620
0.171 0.619 0.619
0.131 0.131 0.584
0.584 0.131 0.131
0.131 0.584 0.131
0.128 0.128 0.128
0.619 0.171 0.619
0.374 0.877 0.374
0.374 0.374 0.877
0.877 0.374 0.374
0.756 0.756 0.756

=====

6.
Ba6MgCo2Sb4O18 | Materials Project | GGA+U | optimized geometry; excess energy over the best structure of this formula in the dataset = 6 meV/atom; magnetization = 4.3 μB/cell; uncorrected energy = -6.133 eV/atom; E (MP2020) = -205.76 eV for the cell shown; energy of formation = -2.35 eV/atom
1.0
-2.700 -0.402 -5.360
4.605 -3.711 1.337
-8.979 -11.338 5.375
O Sb Ba Co Mg
18 4 6 2 1
direct
0.354 0.198 0.918
0.542 0.524 0.751
0.449 0.445 0.253
0.649 0.794 0.074
0.996 0.446 0.253
0.144 0.794 0.074
0.122 0.243 0.411
0.983 0.524 0.750
0.449 0.897 0.244
0.542 0.084 0.763
0.835 0.201 0.604
0.846 0.199 0.917
0.842 0.682 0.907
0.610 0.743 0.401
0.144 0.287 0.081
0.137 0.744 0.403
0.855 0.712 0.586
0.363 0.200 0.605
0.695 0.390 0.660
0.307 0.614 0.143
0.683 0.365 0.849
0.292 0.584 0.337
0.963 0.926 0.226
0.647 0.297 0.076
0.378 0.756 0.618
0.023 0.046 0.765
0.612 0.224 0.377
0.340 0.678 0.918
0.995 0.992 0.999
0.125 0.250 0.535
0.921 0.840 0.461

=====

7.
EuCrO3 | Materials Project | GGA+U | optimized geometry; uncorrected energy = -8.941 eV/atom; E (MP2020) = -195.05 eV for the cell shown; energy of formation = -2.80 eV/atom
1.0
-2.730 4.262 -2.098
-0.890 -2.871 -4.673
-6.588 -2.766 2.954
O Eu Cr
12 4 4
direct
0.915 0.524 0.750
0.794 0.793 0.455
0.294 0.707 0.955
0.085 0.476 0.250
0.706 0.293 0.455
0.706 0.293 0.045
0.206 0.207 0.545
0.794 0.793 0.045
0.585 0.024 0.750
0.415 0.976 0.250
0.206 0.207 0.955
0.294 0.707 0.545
0.990 0.043 0.250
0.490 0.457 0.750
0.510 0.543 0.250
0.010 0.957 0.750
0.500 0.000 0.000
0.500 0.000 0.500
0.000 0.500 0.000
0.000 0.500 0.500

=====

8.
Sr2GaFe2O7 | Materials Project | GGA+U | optimized geometry; magnetization = 15.9 μB/cell; uncorrected energy = -6.110 eV/atom; E (MP2020) = -165.29 eV for the cell shown; energy of formation = -2.06 eV/atom
1.0
9.001 5.420 7.368
2.360 7.609 10.061
-5.687 -9.513 -6.469
Sr O Fe Ga
4 14 4 2
direct
0.660 0.659 0.016
0.340 0.356 0.999
0.856 0.856 0.016
0.144 0.159 0.999
0.850 0.344 0.550
0.180 0.186 0.505
0.677 0.684 0.505
0.820 0.325 0.006
0.294 0.844 0.494
0.679 0.184 0.007
0.321 0.328 0.505
0.706 0.201 0.550
0.346 0.338 0.184
0.654 0.838 0.992
0.181 0.686 0.006
0.150 0.701 0.494
0.323 0.828 0.007
0.819 0.825 0.505
0.444 0.948 0.509
0.061 0.565 0.509
0.556 0.065 0.503
0.939 0.448 0.503
0.677 0.202 0.378
0.323 0.702 0.525